--- P ---
## U (PBE)

Data for U after structural relaxation.

Output
M_tot (Bohr magnetons per cell): 0.00
Volume (A^3/atom): 21.1
SG: Pmma (51)

```
data_U
_space_group_name_H-M_alt 'P 1'
_space_group_IT_number 1
_cell_length_a 22.762
_cell_length_b 5.869
_cell_length_c 5.061
_cell_angle_alpha 90.00
_cell_angle_beta 90.00
_cell_angle_gamma 90.00
loop_
_space_group_symop_operation_xyz
'x,y,z'
loop_
_atom_site_label
_atom_site_fract_x
_atom_site_fract_y
_atom_site_fract_z
U1 0.000 0.216 0.000
U2 0.000 0.784 0.000
U3 0.061 0.283 0.496
U4 0.061 0.717 0.496
U5 0.124 0.223 0.992
U6 0.124 0.777 0.992
U7 0.188 0.223 0.489
U8 0.188 0.777 0.489
U9 0.250 0.282 0.989
U10 0.250 0.718 0.989
U11 0.312 0.223 0.489
U12 0.312 0.777 0.489
U13 0.376 0.223 0.992
U14 0.376 0.777 0.992
U15 0.439 0.283 0.496
U16 0.439 0.717 0.496
U17 0.500 0.216 0.000
U18 0.500 0.784 0.000
U19 0.561 0.283 0.504
U20 0.561 0.717 0.504
U21 0.624 0.223 0.008
U22 0.624 0.777 0.008
U23 0.688 0.223 0.511
U24 0.688 0.777 0.511
U25 0.750 0.282 0.011
U26 0.750 0.718 0.011
U27 0.812 0.223 0.511
U28 0.812 0.777 0.511
U29 0.876 0.223 0.008
U30 0.876 0.777 0.008
U31 0.939 0.283 0.504
U32 0.939 0.717 0.504
```



--- Q ---
## U (PBE)

Data for U after structural relaxation.

Output
M_tot (Bohr magnetons per cell): 0.08
Volume (A^3/atom): 20.9
SG: Pmma (51)

```
data_U
_space_group_name_H-M_alt 'P 1'
_space_group_IT_number 1
_cell_length_a 22.776
_cell_length_b 5.822
_cell_length_c 5.043
_cell_angle_alpha 90.00
_cell_angle_beta 90.00
_cell_angle_gamma 90.00
loop_
_space_group_symop_operation_xyz
'x,y,z'
loop_
_atom_site_label
_atom_site_fract_x
_atom_site_fract_y
_atom_site_fract_z
U1 0.000 0.217 0.000
U2 0.000 0.783 0.000
U3 0.062 0.280 0.495
U4 0.062 0.720 0.495
U5 0.125 0.246 0.991
U6 0.125 0.754 0.991
U7 0.188 0.221 0.487
U8 0.188 0.779 0.487
U9 0.250 0.282 0.987
U10 0.250 0.718 0.987
U11 0.312 0.221 0.487
U12 0.312 0.779 0.487
U13 0.375 0.246 0.991
U14 0.375 0.754 0.991
U15 0.438 0.280 0.495
U16 0.438 0.720 0.495
U17 0.500 0.217 0.000
U18 0.500 0.783 0.000
U19 0.562 0.280 0.505
U20 0.562 0.720 0.505
U21 0.625 0.246 0.009
U22 0.625 0.754 0.009
U23 0.688 0.221 0.513
U24 0.688 0.779 0.513
U25 0.750 0.282 0.013
U26 0.750 0.718 0.013
U27 0.812 0.221 0.513
U28 0.812 0.779 0.513
U29 0.875 0.246 0.009
U30 0.875 0.754 0.009
U31 0.938 0.280 0.505
U32 0.938 0.720 0.505
```



--- R ---
## U (PBE)

Data for U after structural relaxation.

Output
M_tot (Bohr magnetons per cell): 0.00
Volume (A^3/atom): 20.1
SG: P6/mmm (191)

```
data_U
_space_group_name_H-M_alt 'P 1'
_space_group_IT_number 1
_cell_length_a 2.866
_cell_length_b 2.866
_cell_length_c 2.832
_cell_angle_alpha 90.00
_cell_angle_beta 90.00
_cell_angle_gamma 120.00
loop_
_space_group_symop_operation_xyz
'x,y,z'
loop_
_atom_site_label
_atom_site_fract_x
_atom_site_fract_y
_atom_site_fract_z
U1 0.000 0.000 0.000
```



--- S ---
## U (PBE)

Data for U after structural relaxation.

Output
Volume (A^3/atom): 20.5
SG: P4_2/mnm (136)

```
data_U
_space_group_name_H-M_alt 'P 1'
_space_group_IT_number 1
_cell_length_a 10.434
_cell_length_b 10.434
_cell_length_c 5.653
_cell_angle_alpha 90.00
_cell_angle_beta 90.00
_cell_angle_gamma 90.00
loop_
_space_group_symop_operation_xyz
'x,y,z'
loop_
_atom_site_label
_atom_site_fract_x
_atom_site_fract_y
_atom_site_fract_z
U1 0.000 0.000 0.000
U2 0.047 0.362 0.500
U3 0.056 0.266 0.000
U4 0.111 0.111 0.500
U5 0.138 0.547 0.000
U6 0.180 0.820 0.274
U7 0.180 0.820 0.726
U8 0.234 0.556 0.500
U9 0.266 0.056 0.000
U10 0.320 0.320 0.226
U11 0.320 0.320 0.774
U12 0.362 0.047 0.500
U13 0.389 0.611 0.000
U14 0.444 0.766 0.500
U15 0.453 0.862 0.000
U16 0.500 0.500 0.500
U17 0.547 0.138 0.000
U18 0.556 0.234 0.500
U19 0.611 0.389 0.000
U20 0.638 0.953 0.500
U21 0.680 0.680 0.226
U22 0.680 0.680 0.774
U23 0.734 0.944 0.000
U24 0.766 0.444 0.500
U25 0.820 0.180 0.274
U26 0.820 0.180 0.726
U27 0.862 0.453 0.000
U28 0.889 0.889 0.500
U29 0.944 0.734 0.000
U30 0.953 0.638 0.500
```



Which structure wins on stability? S wins.



--- P ---
## MgSn2O4 (PBE)

Data for MgSn2O4 after structural relaxation.

Output
M_tot (Bohr magnetons per cell): 0.13
Volume (A^3/atom): 14.4
SG: Cm (8)

```
data_MgSn2O4
_space_group_name_H-M_alt 'P 1'
_space_group_IT_number 1
_cell_length_a 6.614
_cell_length_b 6.614
_cell_length_c 15.991
_cell_angle_alpha 90.57
_cell_angle_beta 90.57
_cell_angle_gamma 60.11
loop_
_space_group_symop_operation_xyz
'x,y,z'
loop_
_atom_site_label
_atom_site_fract_x
_atom_site_fract_y
_atom_site_fract_z
Mg1 0.000 0.000 0.000
Mg2 0.004 0.004 0.234
Mg3 0.343 0.343 0.564
Mg4 0.665 0.665 0.661
Mg5 0.671 0.671 0.282
Mg6 0.677 0.677 0.898
Sn1 0.008 0.008 0.616
Sn2 0.172 0.673 0.782
Sn3 0.173 0.173 0.782
Sn4 0.335 0.335 0.951
Sn5 0.338 0.338 0.333
Sn6 0.342 0.838 0.447
Sn7 0.508 0.508 0.117
Sn8 0.508 0.997 0.117
Sn9 0.673 0.172 0.782
Sn10 0.837 0.837 0.447
Sn11 0.838 0.342 0.447
Sn12 0.997 0.508 0.117
O1 0.004 0.004 0.371
O2 0.009 0.532 0.855
O3 0.167 0.167 0.050
O4 0.173 0.674 0.052
O5 0.175 0.661 0.508
O6 0.179 0.179 0.511
O7 0.333 0.803 0.702
O8 0.340 0.340 0.177
O9 0.350 0.350 0.703
O10 0.369 0.820 0.199
O11 0.501 0.501 0.852
O12 0.532 0.009 0.855
O13 0.533 0.533 0.370
O14 0.536 0.945 0.371
O15 0.661 0.175 0.508
O16 0.667 0.667 0.034
O17 0.674 0.173 0.052
O18 0.674 0.674 0.527
O19 0.803 0.333 0.702
O20 0.820 0.369 0.199
O21 0.824 0.824 0.200
O22 0.845 0.845 0.708
O23 0.945 0.536 0.371
O24 0.987 0.987 0.863
```



--- Q ---
## MgSn2O4 (PBE)

Data for MgSn2O4 after structural relaxation.

Output
M_tot (Bohr magnetons per cell): 0.01
Volume (A^3/atom): 14.5
SG: Fd-3m (227)

```
data_MgSn2O4
_space_group_name_H-M_alt 'P 1'
_space_group_IT_number 1
_cell_length_a 6.590
_cell_length_b 6.590
_cell_length_c 6.590
_cell_angle_alpha 60.00
_cell_angle_beta 60.00
_cell_angle_gamma 60.00
loop_
_space_group_symop_operation_xyz
'x,y,z'
loop_
_atom_site_label
_atom_site_fract_x
_atom_site_fract_y
_atom_site_fract_z
Mg1 0.125 0.125 0.125
Mg2 0.875 0.875 0.875
Sn1 0.000 0.500 0.500
Sn2 0.500 0.000 0.500
Sn3 0.500 0.500 0.000
Sn4 0.500 0.500 0.500
O1 0.254 0.254 0.254
O2 0.254 0.254 0.738
O3 0.254 0.738 0.254
O4 0.262 0.746 0.746
O5 0.738 0.254 0.254
O6 0.746 0.262 0.746
O7 0.746 0.746 0.262
O8 0.746 0.746 0.746
```



Which structure wins on stability? P wins.



--- P ---
## LiAgF4 (PBE)

Data for LiAgF4 after structural relaxation.

Output
Volume (A^3/atom): 14.0
SG: P2_1/c (14)

```
data_LiAgF4
_space_group_name_H-M_alt 'P 1'
_space_group_IT_number 1
_cell_length_a 5.829
_cell_length_b 5.246
_cell_length_c 6.312
_cell_angle_alpha 90.00
_cell_angle_beta 119.58
_cell_angle_gamma 90.00
loop_
_space_group_symop_operation_xyz
'x,y,z'
loop_
_atom_site_label
_atom_site_fract_x
_atom_site_fract_y
_atom_site_fract_z
Li1 0.000 0.000 0.000
Li2 0.000 0.500 0.500
Ag1 0.500 0.000 0.500
Ag2 0.500 0.500 0.000
F1 0.163 0.190 0.361
F2 0.163 0.310 0.861
F3 0.337 0.672 0.680
F4 0.337 0.828 0.180
F5 0.663 0.172 0.820
F6 0.663 0.328 0.320
F7 0.837 0.690 0.139
F8 0.837 0.810 0.639
```



--- Q ---
## LiAgF4 (PBE)

Data for LiAgF4 after structural relaxation.

Output
M_tot (Bohr magnetons per cell): 0.00
Volume (A^3/atom): 13.7
SG: P2_1/m (11)

```
data_LiAgF4
_space_group_name_H-M_alt 'P 1'
_space_group_IT_number 1
_cell_length_a 5.490
_cell_length_b 8.132
_cell_length_c 7.754
_cell_angle_alpha 90.00
_cell_angle_beta 108.29
_cell_angle_gamma 90.00
loop_
_space_group_symop_operation_xyz
'x,y,z'
loop_
_atom_site_label
_atom_site_fract_x
_atom_site_fract_y
_atom_site_fract_z
Li1 0.025 0.250 0.448
Li2 0.421 0.250 0.858
Li3 0.579 0.750 0.142
Li4 0.975 0.750 0.552
Ag1 0.000 0.000 0.000
Ag2 0.000 0.500 0.000
Ag3 0.500 0.000 0.500
Ag4 0.500 0.500 0.500
F1 0.106 0.250 0.925
F2 0.183 0.072 0.279
F3 0.183 0.428 0.279
F4 0.279 0.093 0.637
F5 0.279 0.407 0.637
F6 0.309 0.750 0.508
F7 0.320 0.592 0.988
F8 0.320 0.908 0.988
F9 0.680 0.092 0.012
F10 0.680 0.408 0.012
F11 0.691 0.250 0.492
F12 0.721 0.593 0.363
F13 0.721 0.907 0.363
F14 0.817 0.572 0.721
F15 0.817 0.928 0.721
F16 0.894 0.750 0.075
```



Which structure wins on stability? P wins.



--- P ---
## Hf8MgN8O4 (PBE)

Data for Hf8MgN8O4 after structural relaxation.

Output
M_tot (Bohr magnetons per cell): 0.00
Volume (A^3/atom): 12.8
SG: P1 (1)

```
data_Hf8MgN8O4
_space_group_name_H-M_alt 'P 1'
_space_group_IT_number 1
_cell_length_a 5.416
_cell_length_b 5.440
_cell_length_c 10.442
_cell_angle_alpha 92.84
_cell_angle_beta 90.06
_cell_angle_gamma 119.07
loop_
_space_group_symop_operation_xyz
'x,y,z'
loop_
_atom_site_label
_atom_site_fract_x
_atom_site_fract_y
_atom_site_fract_z
Hf1 0.000 0.000 0.000
Hf2 0.001 0.991 0.699
Hf3 0.345 0.671 0.770
Hf4 0.356 0.632 0.467
Hf5 0.373 0.703 0.173
Hf6 0.631 0.269 0.523
Hf7 0.646 0.326 0.938
Hf8 0.712 0.331 0.228
Mg1 0.017 0.998 0.377
N1 0.004 0.257 0.560
N2 0.291 0.284 0.841
N3 0.301 0.899 0.614
N4 0.384 0.047 0.080
N5 0.463 0.984 0.350
N6 0.693 0.583 0.385
N7 0.698 0.650 0.097
N8 0.701 0.991 0.851
O1 0.002 0.366 0.069
O2 0.106 0.382 0.303
O3 0.609 0.611 0.633
O4 0.992 0.679 0.850
```



--- Q ---
## Hf8MgN8O4 (PBE)

Data for Hf8MgN8O4 after structural relaxation.

Output
M_tot (Bohr magnetons per cell): 0.00
Volume (A^3/atom): 12.6
SG: P1 (1)

```
data_Hf8MgN8O4
_space_group_name_H-M_alt 'P 1'
_space_group_IT_number 1
_cell_length_a 5.428
_cell_length_b 5.467
_cell_length_c 10.436
_cell_angle_alpha 85.60
_cell_angle_beta 78.87
_cell_angle_gamma 60.24
loop_
_space_group_symop_operation_xyz
'x,y,z'
loop_
_atom_site_label
_atom_site_fract_x
_atom_site_fract_y
_atom_site_fract_z
Hf1 0.000 0.000 0.000
Hf2 0.065 0.384 0.763
Hf3 0.191 0.350 0.468
Hf4 0.327 0.350 0.028
Hf5 0.508 0.677 0.547
Hf6 0.615 0.686 0.247
Hf7 0.749 0.041 0.729
Hf8 0.916 0.019 0.293
Mg1 0.627 0.706 0.972
N1 0.009 0.706 0.876
N2 0.296 0.988 0.130
N3 0.432 0.346 0.624
N4 0.544 0.982 0.386
N5 0.704 0.326 0.883
N6 0.820 0.668 0.629
N7 0.839 0.381 0.391
N8 0.964 0.707 0.142
O1 0.116 0.051 0.623
O2 0.230 0.687 0.384
O3 0.366 0.056 0.871
O4 0.650 0.313 0.150
```



Which structure wins on stability? P wins.



--- P ---
## Mo3WSe4S4 (PBE)

Data for Mo3WSe4S4 after structural relaxation.

Output
M_tot (Bohr magnetons per cell): 0.00
Volume (A^3/atom): 28.1
SG: P3m1 (156)

```
data_Mo3WSe4S4
_space_group_name_H-M_alt 'P 1'
_space_group_IT_number 1
_cell_length_a 3.253
_cell_length_b 3.253
_cell_length_c 36.862
_cell_angle_alpha 90.00
_cell_angle_beta 90.00
_cell_angle_gamma 120.00
loop_
_space_group_symop_operation_xyz
'x,y,z'
loop_
_atom_site_label
_atom_site_fract_x
_atom_site_fract_y
_atom_site_fract_z
Mo1 0.000 0.000 0.000
Mo2 0.000 0.000 0.376
Mo3 0.667 0.333 0.812
W1 0.667 0.333 0.188
Se1 0.667 0.333 0.046
Se2 0.667 0.333 0.330
Se3 0.667 0.333 0.422
Se4 0.667 0.333 0.954
S1 0.000 0.000 0.146
S2 0.000 0.000 0.230
S3 0.000 0.000 0.770
S4 0.000 0.000 0.854
```



--- Q ---
## Mo3WSe4S4 (PBE)

Data for Mo3WSe4S4 after structural relaxation.

Output
M_tot (Bohr magnetons per cell): 0.00
Volume (A^3/atom): 28.2
SG: P3m1 (156)

```
data_Mo3WSe4S4
_space_group_name_H-M_alt 'P 1'
_space_group_IT_number 1
_cell_length_a 3.257
_cell_length_b 3.257
_cell_length_c 36.869
_cell_angle_alpha 90.00
_cell_angle_beta 90.00
_cell_angle_gamma 120.00
loop_
_space_group_symop_operation_xyz
'x,y,z'
loop_
_atom_site_label
_atom_site_fract_x
_atom_site_fract_y
_atom_site_fract_z
Mo1 0.000 0.000 0.000
Mo2 0.000 0.000 0.376
Mo3 0.333 0.667 0.188
W1 0.333 0.667 0.564
Se1 0.000 0.000 0.517
Se2 0.000 0.000 0.610
Se3 0.333 0.667 0.046
Se4 0.333 0.667 0.954
S1 0.000 0.000 0.146
S2 0.000 0.000 0.230
S3 0.333 0.667 0.334
S4 0.333 0.667 0.418
```



Which structure wins on stability? P wins.



--- P ---
## Ti3S4 (PBE)

Data for Ti3S4 after structural relaxation.

Output
M_tot (Bohr magnetons per cell): 0.00
Volume (A^3/atom): 17.4
SG: P-3m1 (164)

```
data_Ti3S4
_space_group_name_H-M_alt 'P 1'
_space_group_IT_number 1
_cell_length_a 3.406
_cell_length_b 3.406
_cell_length_c 12.086
_cell_angle_alpha 90.00
_cell_angle_beta 90.00
_cell_angle_gamma 120.00
loop_
_space_group_symop_operation_xyz
'x,y,z'
loop_
_atom_site_label
_atom_site_fract_x
_atom_site_fract_y
_atom_site_fract_z
Ti1 0.000 0.000 0.000
Ti2 0.333 0.667 0.744
Ti3 0.667 0.333 0.256
S1 0.333 0.667 0.124
S2 0.333 0.667 0.373
S3 0.667 0.333 0.627
S4 0.667 0.333 0.876
```



--- Q ---
## Ti3S4 (PBE)

Data for Ti3S4 after structural relaxation.

Output
M_tot (Bohr magnetons per cell): 0.00
Volume (A^3/atom): 17.3
SG: P3m1 (156)

```
data_Ti3S4
_space_group_name_H-M_alt 'P 1'
_space_group_IT_number 1
_cell_length_a 3.444
_cell_length_b 3.444
_cell_length_c 11.812
_cell_angle_alpha 90.00
_cell_angle_beta 90.00
_cell_angle_gamma 120.00
loop_
_space_group_symop_operation_xyz
'x,y,z'
loop_
_atom_site_label
_atom_site_fract_x
_atom_site_fract_y
_atom_site_fract_z
Ti1 0.000 0.000 0.000
Ti2 0.000 0.000 0.274
Ti3 0.333 0.667 0.766
S1 0.000 0.000 0.647
S2 0.333 0.667 0.140
S3 0.667 0.333 0.390
S4 0.667 0.333 0.889
```



Which structure wins on stability? Q wins.



--- P ---
## Zn2SnO4 (PBE)

Data for Zn2SnO4 after structural relaxation.

Output
Volume (A^3/atom): 12.1
SG: Imma (74)

```
data_Zn2SnO4
_space_group_name_H-M_alt 'P 1'
_space_group_IT_number 1
_cell_length_a 6.217
_cell_length_b 6.217
_cell_length_c 6.217
_cell_angle_alpha 121.25
_cell_angle_beta 118.79
_cell_angle_gamma 89.97
loop_
_space_group_symop_operation_xyz
'x,y,z'
loop_
_atom_site_label
_atom_site_fract_x
_atom_site_fract_y
_atom_site_fract_z
Zn1 0.000 0.000 0.500
Zn2 0.000 0.500 0.000
Zn3 0.392 0.142 0.250
Zn4 0.608 0.858 0.750
Sn1 0.000 0.500 0.500
Sn2 0.500 0.500 0.000
O1 0.217 0.735 0.483
O2 0.248 0.265 0.983
O3 0.249 0.266 0.517
O4 0.249 0.732 0.983
O5 0.751 0.268 0.017
O6 0.751 0.734 0.483
O7 0.752 0.735 0.017
O8 0.783 0.265 0.517
```



--- Q ---
## Zn2SnO4 (PBE)

Data for Zn2SnO4 after structural relaxation.

Output
M_tot (Bohr magnetons per cell): 0.00
Volume (A^3/atom): 12.0
SG: Fd-3m (227)

```
data_Zn2SnO4
_space_group_name_H-M_alt 'P 1'
_space_group_IT_number 1
_cell_length_a 6.200
_cell_length_b 6.200
_cell_length_c 6.200
_cell_angle_alpha 60.00
_cell_angle_beta 60.00
_cell_angle_gamma 60.00
loop_
_space_group_symop_operation_xyz
'x,y,z'
loop_
_atom_site_label
_atom_site_fract_x
_atom_site_fract_y
_atom_site_fract_z
Zn1 0.000 0.000 0.000
Zn2 0.000 0.000 0.500
Zn3 0.000 0.500 0.000
Zn4 0.500 0.000 0.000
Sn1 0.375 0.375 0.375
Sn2 0.625 0.625 0.625
O1 0.229 0.757 0.757
O2 0.243 0.243 0.243
O3 0.243 0.243 0.771
O4 0.243 0.771 0.243
O5 0.757 0.229 0.757
O6 0.757 0.757 0.229
O7 0.757 0.757 0.757
O8 0.771 0.243 0.243
```



Which structure wins on stability? P wins.